Record 1
! Dy2Fe12P7 | Materials Project | PBE | optimized geometry; values from VASP
! Space-group type = P-6 (174)
&SYSTEM
  ibrav = 0, nat = 21, ntyp = 3
/
ATOMIC_SPECIES
Dy 162.50 Dy.upf
Fe 55.84 Fe.upf
P 30.97 P.upf
ATOMIC_POSITIONS crystal
Dy 0.000 0.000 0.000
Dy 0.333 0.667 0.500
Fe 0.039 0.278 0.500
Fe 0.098 0.717 0.000
Fe 0.239 0.961 0.500
Fe 0.283 0.382 0.000
Fe 0.450 0.213 0.000
Fe 0.511 0.453 0.500
Fe 0.547 0.058 0.500
Fe 0.618 0.902 0.000
Fe 0.722 0.761 0.500
Fe 0.763 0.550 0.000
Fe 0.787 0.237 0.000
Fe 0.942 0.489 0.500
P 0.068 0.445 0.000
P 0.256 0.219 0.500
P 0.377 0.932 0.000
P 0.555 0.623 0.000
P 0.667 0.333 0.500
P 0.781 0.037 0.500
P 0.963 0.744 0.500
CELL_PARAMETERS angstrom
8.965 0.000 0.000
-4.482 7.764 0.000
0.000 0.000 3.636

---

Record 2
! DyFe5P3 | Materials Project | PBE | optimized geometry; values from VASP
! Space-group type = Pnma (62)
&SYSTEM
  ibrav = 0, nat = 36, ntyp = 3
/
ATOMIC_SPECIES
Dy 162.50 Dy.upf
Fe 55.84 Fe.upf
P 30.97 P.upf
ATOMIC_POSITIONS crystal
Dy 0.205 0.250 0.082
Dy 0.295 0.750 0.582
Dy 0.705 0.250 0.418
Dy 0.795 0.750 0.918
Fe 0.009 0.750 0.094
Fe 0.012 0.750 0.707
Fe 0.067 0.750 0.463
Fe 0.177 0.250 0.781
Fe 0.200 0.250 0.377
Fe 0.300 0.750 0.877
Fe 0.323 0.750 0.281
Fe 0.433 0.250 0.963
Fe 0.488 0.250 0.207
Fe 0.491 0.250 0.594
Fe 0.509 0.750 0.406
Fe 0.512 0.750 0.793
Fe 0.567 0.750 0.037
Fe 0.677 0.250 0.719
Fe 0.700 0.250 0.123
Fe 0.800 0.750 0.623
Fe 0.823 0.750 0.219
Fe 0.933 0.250 0.537
Fe 0.988 0.250 0.293
Fe 0.991 0.250 0.906
P 0.105 0.750 0.899
P 0.113 0.250 0.578
P 0.129 0.750 0.267
P 0.371 0.250 0.767
P 0.387 0.750 0.078
P 0.395 0.250 0.399
P 0.605 0.750 0.601
P 0.613 0.250 0.922
P 0.629 0.750 0.233
P 0.871 0.250 0.733
P 0.887 0.750 0.422
P 0.895 0.250 0.101
CELL_PARAMETERS angstrom
11.808 0.000 0.000
0.000 3.647 0.000
0.000 0.000 10.305

---

no.,DFT formation energy (meV/atom)
1,-707
2,-740